No. 1
Here is crystalline Y4Co16B3C at its relaxed geometry from the Materials Project database. Energies are from PBE.

Cell: 5.0206 5.0206 13.5002 Å, 90.00 90.00 120.00°
Space group P-6m2 (No. 187)
Inequivalent atoms, fractional coordinates:
Y (0.0000, 0.0000, 0.0000) x1
Y (0.0000, 0.0000, 0.2488) x2
Y (0.0000, 0.0000, 0.5000) x1
Co (0.0039, 0.5020, 0.1011) x6
Co (0.3333, 0.6667, 0.2500) x2
Co (0.5003, 0.0006, 0.3941) x6
Co (0.6667, 0.3333, 0.2470) x2
B (0.3333, 0.6667, 0.5000) x1
B (0.6667, 0.3333, 0.0000) x1
B (0.6667, 0.3333, 0.5000) x1
C (0.3333, 0.6667, 0.0000) x1

The formation enthalpy at 0 K comes out at -0.26 eV per atom.

---

No. 2
Here is crystalline CrB6P2H34C6 at its relaxed geometry from the Materials Project database. Energies are from PBE.

Cell: 14.606 17.445 17.144 Å, 90.00 90.00 90.00°
Space group Pbca (No. 61)
Inequivalent atoms, fractional coordinates:
Cr (0.165, 0.106, 0.174) x8
B (0.008, 0.236, 0.657) x8
B (0.041, 0.188, 0.092) x8
B (0.127, 0.244, 0.139) x8
B (0.130, 0.097, 0.316) x8
B (0.193, 0.169, 0.369) x8
B (0.249, 0.600, 0.310) x8
P (0.120, 0.529, 0.661) x8
P (0.215, 0.604, 0.071) x8
H (0.001, 0.041, 0.743) x8
H (0.012, 0.110, 0.820) x8
H (0.021, 0.678, 0.872) x8
H (0.024, 0.747, 0.281) x8
H (0.038, 0.121, 0.114) x8
H (0.040, 0.709, 0.390) x8
H (0.043, 0.197, 0.022) x8
H (0.046, 0.012, 0.835) x8
H (0.079, 0.537, 0.029) x8
H (0.080, 0.532, 0.523) x8
H (0.081, 0.677, 0.035) x8
H (0.084, 0.626, 0.565) x8
H (0.085, 0.116, 0.257) x8
H (0.096, 0.148, 0.359) x8
H (0.096, 0.206, 0.685) x8
H (0.102, 0.038, 0.343) x8
H (0.103, 0.685, 0.138) x8
H (0.105, 0.514, 0.128) x8
H (0.158, 0.657, 0.707) x8
H (0.168, 0.030, 0.551) x8
H (0.171, 0.738, 0.069) x8
H (0.173, 0.221, 0.593) x8
H (0.175, 0.211, 0.189) x8
H (0.187, 0.234, 0.345) x8
H (0.187, 0.578, 0.540) x8
H (0.187, 0.613, 0.933) x8
H (0.188, 0.585, 0.777) x8
H (0.195, 0.161, 0.439) x8
H (0.209, 0.161, 0.959) x8
H (0.213, 0.058, 0.952) x8
H (0.214, 0.543, 0.337) x8
H (0.214, 0.654, 0.350) x8
H (0.219, 0.618, 0.246) x8
H (0.242, 0.100, 0.693) x8
C (0.004, 0.550, 0.694) x8
C (0.118, 0.570, 0.563) x8
C (0.134, 0.523, 0.070) x8
C (0.134, 0.684, 0.079) x8
C (0.188, 0.600, 0.715) x8
C (0.249, 0.610, 0.969) x8

The formation enthalpy at 0 K comes out at -0.12 eV per atom.

---

No. 3
Here is crystalline CsBC2F8 at its relaxed geometry from the Materials Project database. Energies are from PBE.

Cell: 6.082 7.714 8.369 Å, 90.00 100.81 90.00°
Space group P2_1/m (No. 11)
Inequivalent atoms, fractional coordinates:
Cs (0.019, 0.250, 0.221) x2
B (0.316, 0.750, 0.205) x2
C (0.306, 0.750, 0.404) x2
C (0.428, 0.250, 0.832) x2
F (0.195, 0.608, 0.451) x4
F (0.204, 0.600, 0.132) x4
F (0.302, 0.107, 0.772) x4
F (0.429, 0.250, 0.998) x2
F (0.488, 0.250, 0.492) x2

For the energy with MP2020 corrections, the calculation gives -5.724 eV/atom. The formation enthalpy at 0 K comes out at -2.28 eV per atom.